Entry 1:
# CsMgCl3 (r2SCAN, optimized geometry)
data_CsMgCl3
_chemical_formula_sum 'Cs2 Mg2 Cl6'
_space_group_name_H-M_alt 'P 1'
_space_group_IT_number 1
_cell_length_a 7.293
_cell_length_b 7.293
_cell_length_c 6.182
_cell_angle_alpha 90.00
_cell_angle_beta 90.00
_cell_angle_gamma 120.00
loop_
_space_group_symop_operation_xyz
'x,y,z'
loop_
_atom_site_label
_atom_site_type_symbol
_atom_site_fract_x
_atom_site_fract_y
_atom_site_fract_z
Cs1 Cs 0.333 0.667 0.250
Cs2 Cs 0.667 0.333 0.750
Mg1 Mg 0.000 0.000 0.000
Mg2 Mg 0.000 0.000 0.500
Cl1 Cl 0.156 0.312 0.750
Cl2 Cl 0.156 0.844 0.750
Cl3 Cl 0.312 0.156 0.250
Cl4 Cl 0.688 0.844 0.750
Cl5 Cl 0.844 0.156 0.250
Cl6 Cl 0.844 0.688 0.250
# - Calculated total energy: -11.74 eV per atom
# - Formation energy from the elements: -2.1957 eV per atom

Entry 2:
# Cs3MnCl5 (r2SCAN, optimized geometry)
data_Cs3MnCl5
_chemical_formula_sum 'Cs6 Mn2 Cl10'
_space_group_name_H-M_alt 'P 1'
_space_group_IT_number 1
_cell_length_a 9.876
_cell_length_b 9.876
_cell_length_c 9.876
_cell_angle_alpha 124.01
_cell_angle_beta 124.01
_cell_angle_gamma 83.19
loop_
_space_group_symop_operation_xyz
'x,y,z'
loop_
_atom_site_label
_atom_site_type_symbol
_atom_site_fract_x
_atom_site_fract_y
_atom_site_fract_z
Cs1 Cs 0.162 0.662 0.824
Cs2 Cs 0.250 0.250 0.000
Cs3 Cs 0.338 0.162 0.500
Cs4 Cs 0.662 0.838 0.500
Cs5 Cs 0.750 0.750 0.000
Cs6 Cs 0.838 0.338 0.176
Mn1 Mn 0.250 0.750 0.500
Mn2 Mn 0.750 0.250 0.500
Cl1 Cl 0.000 0.000 0.000
Cl2 Cl 0.012 0.799 0.500
Cl3 Cl 0.201 0.701 0.213
Cl4 Cl 0.299 0.512 0.500
Cl5 Cl 0.488 0.988 0.787
Cl6 Cl 0.500 0.500 0.000
Cl7 Cl 0.512 0.012 0.213
Cl8 Cl 0.701 0.488 0.500
Cl9 Cl 0.799 0.299 0.787
Cl10 Cl 0.988 0.201 0.500
# - Calculated total energy: -15.45 eV per atom
# - Formation energy from the elements: -2.0313 eV per atom

Entry 3:
# CsMnCl3 (r2SCAN, optimized geometry)
data_CsMnCl3
_chemical_formula_sum 'Cs3 Mn3 Cl9'
_space_group_name_H-M_alt 'P 1'
_space_group_IT_number 1
_cell_length_a 10.060
_cell_length_b 10.060
_cell_length_c 10.060
_cell_angle_alpha 42.59
_cell_angle_beta 42.59
_cell_angle_gamma 42.59
loop_
_space_group_symop_operation_xyz
'x,y,z'
loop_
_atom_site_label
_atom_site_type_symbol
_atom_site_fract_x
_atom_site_fract_y
_atom_site_fract_z
Cs1 Cs 0.000 0.000 0.000
Cs2 Cs 0.219 0.219 0.219
Cs3 Cs 0.781 0.781 0.781
Mn1 Mn 0.384 0.384 0.384
Mn2 Mn 0.500 0.500 0.500
Mn3 Mn 0.616 0.616 0.616
Cl1 Cl 0.000 0.500 0.500
Cl2 Cl 0.243 0.714 0.714
Cl3 Cl 0.286 0.286 0.757
Cl4 Cl 0.286 0.757 0.286
Cl5 Cl 0.500 0.000 0.500
Cl6 Cl 0.500 0.500 0.000
Cl7 Cl 0.714 0.243 0.714
Cl8 Cl 0.714 0.714 0.243
Cl9 Cl 0.757 0.286 0.286
# - Calculated total energy: -13.55 eV per atom
# - Formation energy from the elements: -1.9013 eV per atom

Entry 4:
# Cs2MnCl4 (r2SCAN, optimized geometry)
data_Cs2MnCl4
_chemical_formula_sum 'Cs4 Mn2 Cl8'
_space_group_name_H-M_alt 'P 1'
_space_group_IT_number 1
_cell_length_a 5.140
_cell_length_b 5.140
_cell_length_c 16.991
_cell_angle_alpha 90.00
_cell_angle_beta 90.00
_cell_angle_gamma 90.00
loop_
_space_group_symop_operation_xyz
'x,y,z'
loop_
_atom_site_label
_atom_site_type_symbol
_atom_site_fract_x
_atom_site_fract_y
_atom_site_fract_z
Cs1 Cs 0.000 0.000 0.143
Cs2 Cs 0.000 0.000 0.857
Cs3 Cs 0.500 0.500 0.357
Cs4 Cs 0.500 0.500 0.643
Mn1 Mn 0.000 0.000 0.500
Mn2 Mn 0.500 0.500 0.000
Cl1 Cl 0.000 0.000 0.351
Cl2 Cl 0.000 0.000 0.649
Cl3 Cl 0.000 0.500 0.000
Cl4 Cl 0.000 0.500 0.500
Cl5 Cl 0.500 0.000 0.000
Cl6 Cl 0.500 0.000 0.500
Cl7 Cl 0.500 0.500 0.149
Cl8 Cl 0.500 0.500 0.851
# - Calculated total energy: -14.77 eV per atom
# - Formation energy from the elements: -1.9875 eV per atom

Entry 5:
# CsNb4Cl11 (r2SCAN, optimized geometry)
data_CsNb4Cl11
_chemical_formula_sum 'Cs2 Nb8 Cl22'
_space_group_name_H-M_alt 'P 1'
_space_group_IT_number 1
_cell_length_a 16.294
_cell_length_b 7.001
_cell_length_c 6.922
_cell_angle_alpha 90.00
_cell_angle_beta 90.00
_cell_angle_gamma 90.00
loop_
_space_group_symop_operation_xyz
'x,y,z'
loop_
_atom_site_label
_atom_site_type_symbol
_atom_site_fract_x
_atom_site_fract_y
_atom_site_fract_z
Cs1 Cs 0.250 0.000 0.021
Cs2 Cs 0.750 0.000 0.979
Nb1 Nb 0.000 0.287 0.500
Nb2 Nb 0.000 0.713 0.500
Nb3 Nb 0.141 0.500 0.620
Nb4 Nb 0.359 0.500 0.620
Nb5 Nb 0.500 0.287 0.500
Nb6 Nb 0.500 0.713 0.500
Nb7 Nb 0.641 0.500 0.380
Nb8 Nb 0.859 0.500 0.380
Cl1 Cl 0.078 0.249 0.812
Cl2 Cl 0.078 0.751 0.812
Cl3 Cl 0.083 0.000 0.365
Cl4 Cl 0.086 0.500 0.289
Cl5 Cl 0.250 0.267 0.487
Cl6 Cl 0.250 0.500 0.901
Cl7 Cl 0.250 0.733 0.487
Cl8 Cl 0.414 0.500 0.289
Cl9 Cl 0.417 0.000 0.365
Cl10 Cl 0.422 0.249 0.812
Cl11 Cl 0.422 0.751 0.812
Cl12 Cl 0.578 0.249 0.188
Cl13 Cl 0.578 0.751 0.188
Cl14 Cl 0.583 0.000 0.635
Cl15 Cl 0.586 0.500 0.711
Cl16 Cl 0.750 0.267 0.513
Cl17 Cl 0.750 0.500 0.099
Cl18 Cl 0.750 0.733 0.513
Cl19 Cl 0.914 0.500 0.711
Cl20 Cl 0.917 0.000 0.635
Cl21 Cl 0.922 0.249 0.188
Cl22 Cl 0.922 0.751 0.188
# - Calculated total energy: -13.54 eV per atom
# - Formation energy from the elements: -1.5565 eV per atom

Entry 6:
# Cs3ClO (r2SCAN, optimized geometry)
data_Cs3ClO
_chemical_formula_sum 'Cs12 Cl4 O4'
_space_group_name_H-M_alt 'P 1'
_space_group_IT_number 1
_cell_length_a 9.554
_cell_length_b 4.442
_cell_length_c 16.430
_cell_angle_alpha 90.00
_cell_angle_beta 90.00
_cell_angle_gamma 90.00
loop_
_space_group_symop_operation_xyz
'x,y,z'
loop_
_atom_site_label
_atom_site_type_symbol
_atom_site_fract_x
_atom_site_fract_y
_atom_site_fract_z
Cs1 Cs 0.027 0.250 0.099
Cs2 Cs 0.171 0.250 0.501
Cs3 Cs 0.212 0.750 0.291
Cs4 Cs 0.288 0.250 0.791
Cs5 Cs 0.329 0.750 0.001
Cs6 Cs 0.473 0.750 0.599
Cs7 Cs 0.527 0.250 0.401
Cs8 Cs 0.671 0.250 0.999
Cs9 Cs 0.712 0.750 0.209
Cs10 Cs 0.788 0.250 0.709
Cs11 Cs 0.829 0.750 0.499
Cs12 Cs 0.973 0.750 0.901
Cl1 Cl 0.077 0.750 0.672
Cl2 Cl 0.423 0.250 0.172
Cl3 Cl 0.577 0.750 0.828
Cl4 Cl 0.923 0.250 0.328
O1 O 0.166 0.250 0.939
O2 O 0.334 0.750 0.439
O3 O 0.666 0.250 0.561
O4 O 0.834 0.750 0.061
# - Calculated total energy: -19.04 eV per atom
# - Formation energy from the elements: -1.5522 eV per atom